# 1
# Ce3NF6

Ce3NF6 after structural relaxation (PBE-GGA, Materials Project).

Calculated values
spin magnetization = 3.1 μB/f.u.
energy of formation = -3547 kJ/mol of formula units
SG = P1

a = 4.0241 Å, b = 5.9306 Å, c = 7.1481 Å
α = 114.16°, β = 104.56°, γ = 89.94°
Last column: nearest neighbours and their distance in Å.
Fractional positions:
Ce1 0.0001 0.9910 0.9748  1 N 2.28, 5 F 2.38-2.55
Ce2 0.3672 0.2906 0.6639  2 N 2.40-2.53, 5 F 2.48-2.55
Ce3 0.6590 0.6919 0.3620  1 N 2.34, 6 F 2.38-2.56
N1 0.8908 0.0544 0.6721  4 Ce 2.28-2.53
F1 0.1589 0.4432 0.3737  3 Ce 2.50-2.55, 3 F 2.51-2.57
F2 0.8302 0.5624 0.6592  4 Ce 2.48-2.70, 3 F 2.54-2.64
F3 0.4596 0.7412 0.9132  3 Ce 2.38-2.50, 3 F 2.54-2.64
F4 0.4782 0.0638 0.3102  3 Ce 2.46-2.54, 3 F 2.51-2.68, 1 N 2.72
F5 0.0378 0.6882 0.1534  3 Ce 2.38-2.58, 3 F 2.51-2.63
F6 0.5256 0.2676 0.0197  4 Ce 2.51-2.63


# 2
# CeN2F6

CeN2F6 after structural relaxation (PBE-GGA, Materials Project).

Calculated values
spin magnetization = 4.0 μB/f.u.
energy of formation = -1554 kJ/mol of formula units
SG = P1

a = 7.4917 Å, b = 8.6315 Å, c = 15.6394 Å
α = 90.30°, β = 90.42°, γ = 90.26°
Last column: nearest neighbours and their distance in Å.
Fractional positions:
Ce1 0.2508 0.9995 0.9995  2 F 2.03
Ce2 0.7510 0.4991 0.4989  2 F 2.03
Ce3 0.7508 0.9995 0.9989  2 F 2.03
Ce4 0.2510 0.4989 0.4996  2 F 2.03
N1 0.0441 0.8995 0.6940  1 F 1.34
N2 0.5424 0.5957 0.8058  1 F 1.34
N3 0.9594 0.4024 0.8053  1 F 1.34
N4 0.4590 0.0982 0.6937  1 F 1.34
N5 0.9425 0.0904 0.3078  1 F 1.34
N6 0.4573 0.4002 0.1942  1 F 1.34
N7 0.0443 0.5970 0.1933  1 F 1.34
N8 0.5453 0.9265 0.3181  1 F 1.34
F1 0.2504 0.7339 0.5008  1 Ce 2.03
F2 0.7469 0.7645 0.9976  1 Ce 2.03
F3 0.7547 0.2344 0.9973  1 Ce 2.03
F4 0.2515 0.2639 0.5004  1 Ce 2.03
F5 0.7508 0.2642 0.4978  1 Ce 2.03
F6 0.2543 0.2345 0.0008  1 Ce 2.03
F7 0.2473 0.7645 0.0009  1 Ce 2.03
F8 0.7506 0.7341 0.4978  1 Ce 2.03
F9 0.1545 0.8158 0.7434  1 N 1.34
F10 0.6516 0.6805 0.7566  1 N 1.34
F11 0.8498 0.3162 0.7557  1 N 1.34
F12 0.3490 0.1823 0.7429  1 N 1.34
F13 0.8554 0.1853 0.2542  1 N 1.34
F14 0.3482 0.3152 0.2433  1 N 1.34
F15 0.1535 0.6828 0.2432  1 N 1.34
F16 0.6268 0.8269 0.2650  1 N 1.34
F17 0.0007 0.9962 0.9143  2 Ce 2.29-2.30
F18 0.5038 0.5021 0.5841  2 Ce 2.29-2.30
F19 0.0012 0.4974 0.5841  2 Ce 2.29-2.30
F20 0.4977 0.0013 0.9143  2 Ce 2.29-2.30
F21 0.0009 0.0024 0.0840  2 Ce 2.29-2.30
F22 0.4981 0.4962 0.4142  2 Ce 2.29-2.30
F23 0.0009 0.5004 0.4142  2 Ce 2.29-2.30
F24 0.5036 0.9981 0.0841  2 Ce 2.29-2.30


Q: The highest spin magnetization belongs to which entry?
A: CeN2F6